24
Lattice="-2.537 -4.395 0.000 -7.613 4.396 0.000 -0.001 0.000 -7.988" Properties=species:S:1:pos:R:3 comment="KCrS2O8 (PBE with a Hubbard U, relaxed)" formation_enthalpy_0k_ev_per_fu=-25.1 e_above_lowest_polymorph_kj_per_mol_atoms=3.5 pbc="T T T"
O -3.758 -3.428 -1.260
O -8.704 -0.572 -6.733
O -5.303 -1.540 -1.256
O -8.703 0.570 -1.266
O -7.616 -1.458 -4.779
O -5.074 -2.928 -3.208
O -2.537 -1.463 -4.780
O -2.768 -2.856 -6.727
O -1.222 -0.970 -6.733
O -5.306 1.540 -6.721
O -7.844 2.853 -1.259
O -7.606 1.465 -3.209
O -3.628 0.573 -1.261
O -6.297 -0.969 -6.731
O -6.296 0.969 -1.256
O -3.629 -0.573 -6.729
Cr -7.612 4.394 -0.002
Cr -5.075 0.002 -7.985
S -2.539 -1.465 -6.238
S -5.075 -2.929 -1.751
S -7.612 1.465 -1.752
S -7.615 -1.463 -6.236
K -7.613 4.395 -3.995
K -5.076 0.000 -3.994